a) The following is a PBE calculation of a geometry-optimized NaTh2P3O12 structure, from the Materials Project.

The calculation puts the magnetic moment at 0.00 μB/atom. Its symmetry is No. 15.

Unit cell a=9.450 b=9.450 c=8.235 alpha=100.32 beta=100.32 gamma=42.57
Element x y z (fractional)
1 Na 0.103 0.897 0.750
2 Na 0.897 0.103 0.250
3 Th 0.252 0.442 0.964
4 Th 0.442 0.252 0.464
5 Th 0.558 0.748 0.536
6 Th 0.748 0.558 0.036
7 P 0.100 0.279 0.687
8 P 0.279 0.100 0.187
9 P 0.401 0.599 0.250
10 P 0.599 0.401 0.750
11 P 0.721 0.900 0.813
12 P 0.900 0.721 0.313
13 O 0.046 0.231 0.159
14 O 0.054 0.352 0.876
15 O 0.106 0.587 0.423
16 O 0.225 0.324 0.669
17 O 0.231 0.046 0.659
18 O 0.252 0.699 0.092
19 O 0.301 0.748 0.408
20 O 0.324 0.225 0.169
21 O 0.352 0.054 0.376
22 O 0.393 0.464 0.752
23 O 0.413 0.894 0.077
24 O 0.464 0.393 0.252
25 O 0.536 0.607 0.748
26 O 0.587 0.106 0.923
27 O 0.607 0.536 0.248
28 O 0.648 0.946 0.624
29 O 0.676 0.775 0.831
30 O 0.699 0.252 0.592
31 O 0.748 0.301 0.908
32 O 0.769 0.954 0.341
33 O 0.775 0.676 0.331
34 O 0.894 0.413 0.577
35 O 0.946 0.648 0.124
36 O 0.954 0.769 0.841

b) The following is a PBE calculation of a geometry-optimized NaTh2P3O12 structure, from the Materials Project.

The calculation puts the magnetic moment at 0.00 μB/atom. Its symmetry is No. 9.

Unit cell a=9.433 b=9.433 c=8.254 alpha=100.69 beta=100.69 gamma=42.59
Element x y z (fractional)
1 Na 0.099 0.901 0.500
2 Na 0.901 0.099 0.000
3 Th 0.262 0.456 0.828
4 Th 0.456 0.262 0.328
5 Th 0.578 0.753 0.400
6 Th 0.753 0.578 0.900
7 P 0.115 0.285 0.552
8 P 0.285 0.115 0.052
9 P 0.410 0.611 0.122
10 P 0.611 0.410 0.622
11 P 0.734 0.913 0.676
12 P 0.913 0.734 0.176
13 O 0.052 0.242 0.024
14 O 0.061 0.366 0.738
15 O 0.119 0.605 0.285
16 O 0.239 0.726 0.977
17 O 0.242 0.052 0.524
18 O 0.248 0.323 0.537
19 O 0.323 0.248 0.037
20 O 0.332 0.732 0.293
21 O 0.366 0.061 0.238
22 O 0.394 0.488 0.609
23 O 0.421 0.914 0.937
24 O 0.488 0.394 0.109
25 O 0.573 0.599 0.610
26 O 0.599 0.573 0.110
27 O 0.605 0.119 0.785
28 O 0.666 0.954 0.487
29 O 0.684 0.792 0.695
30 O 0.726 0.239 0.477
31 O 0.732 0.332 0.793
32 O 0.776 0.970 0.206
33 O 0.792 0.684 0.195
34 O 0.914 0.421 0.437
35 O 0.954 0.666 0.987
36 O 0.970 0.776 0.706

Stability, highest: b)

a) The following is a PBE calculation of a geometry-optimized NaTiPO5 structure, from the Materials Project.

The calculation puts the magnetic moment at 0.00 μB/atom. Its symmetry is No. 33.

Unit cell a=12.727 b=6.327 c=10.690 alpha=90.00 beta=90.00 gamma=90.00
Element x y z (fractional)
1 Na 0.100 0.244 0.000
2 Na 0.157 0.702 0.701
3 Na 0.343 0.202 0.201
4 Na 0.400 0.744 0.500
5 Na 0.600 0.256 0.000
6 Na 0.657 0.798 0.701
7 Na 0.843 0.298 0.201
8 Na 0.900 0.756 0.500
9 Ti 0.129 0.980 0.426
10 Ti 0.228 0.713 0.163
11 Ti 0.272 0.213 0.663
12 Ti 0.371 0.480 0.926
13 Ti 0.629 0.520 0.426
14 Ti 0.728 0.787 0.163
15 Ti 0.772 0.287 0.663
16 Ti 0.871 0.020 0.926
17 P 0.018 0.158 0.694
18 P 0.184 0.476 0.431
19 P 0.316 0.976 0.931
20 P 0.482 0.658 0.194
21 P 0.518 0.342 0.694
22 P 0.684 0.024 0.431
23 P 0.816 0.524 0.931
24 P 0.982 0.842 0.194
25 O 0.005 0.068 0.829
26 O 0.027 0.974 0.600
27 O 0.076 0.695 0.160
28 O 0.109 0.285 0.421
29 O 0.118 0.670 0.469
30 O 0.119 0.297 0.695
31 O 0.210 0.951 0.295
32 O 0.230 0.945 0.033
33 O 0.241 0.507 0.304
34 O 0.243 0.008 0.551
35 O 0.257 0.508 0.051
36 O 0.259 0.007 0.804
37 O 0.270 0.445 0.533
38 O 0.290 0.451 0.795
39 O 0.381 0.797 0.195
40 O 0.382 0.170 0.969
41 O 0.391 0.785 0.921
42 O 0.424 0.195 0.660
43 O 0.473 0.474 0.100
44 O 0.495 0.568 0.329
45 O 0.505 0.432 0.829
46 O 0.527 0.526 0.600
47 O 0.576 0.805 0.160
48 O 0.609 0.215 0.421
49 O 0.618 0.830 0.469
50 O 0.619 0.203 0.695
51 O 0.710 0.549 0.295
52 O 0.730 0.555 0.033
53 O 0.741 0.993 0.304
54 O 0.743 0.492 0.551
55 O 0.757 0.992 0.051
56 O 0.759 0.493 0.804
57 O 0.770 0.055 0.533
58 O 0.790 0.049 0.795
59 O 0.881 0.703 0.195
60 O 0.882 0.330 0.969
61 O 0.891 0.715 0.921
62 O 0.924 0.305 0.660
63 O 0.973 0.026 0.100
64 O 0.995 0.932 0.329

b) The following is a PBE calculation of a geometry-optimized NaTiPO5 structure, from the Materials Project.

The calculation puts the magnetic moment at 0.00 μB/atom. Its symmetry is No. 62.

Unit cell a=7.496 b=6.548 c=7.817 alpha=90.00 beta=90.00 gamma=90.00
Element x y z (fractional)
1 Na 0.000 0.000 0.000
2 Na 0.000 0.500 0.000
3 Na 0.500 0.000 0.500
4 Na 0.500 0.500 0.500
5 Ti 0.165 0.250 0.285
6 Ti 0.335 0.750 0.785
7 Ti 0.665 0.250 0.215
8 Ti 0.835 0.750 0.715
9 P 0.125 0.750 0.392
10 P 0.375 0.250 0.892
11 P 0.625 0.750 0.108
12 P 0.875 0.250 0.608
13 O 0.054 0.250 0.507
14 O 0.108 0.750 0.829
15 O 0.135 0.559 0.276
16 O 0.135 0.941 0.276
17 O 0.214 0.250 0.021
18 O 0.286 0.750 0.521
19 O 0.365 0.059 0.776
20 O 0.365 0.441 0.776
21 O 0.392 0.250 0.329
22 O 0.446 0.750 0.007
23 O 0.554 0.250 0.993
24 O 0.608 0.750 0.671
25 O 0.635 0.559 0.224
26 O 0.635 0.941 0.224
27 O 0.714 0.250 0.479
28 O 0.786 0.750 0.979
29 O 0.865 0.059 0.724
30 O 0.865 0.441 0.724
31 O 0.892 0.250 0.171
32 O 0.946 0.750 0.493

Stability, highest: a)